# 1
Here is a relaxed Tm6Mn23 crystal from Materials Project. Energies are from PBE.

Cell and atoms, written as extended XYZ:
```
29
Lattice="-0.811 -7.251 4.196 -3.989 -0.151 7.410 -7.548 -3.670 0.642" Properties=species:S:1:pos:R:3 pbc="T T T"
Tm -5.612 -6.299 8.365
Mn -10.850 -9.729 10.762
Mn -10.566 -8.568 8.478
Mn -3.753 -1.456 2.730
Mn -5.768 -1.911 4.026
Mn -5.383 -3.232 1.816
Mn -1.498 -1.343 1.486
Mn -1.915 -5.076 3.646
Mn -8.796 -9.652 6.947
Mn -2.823 -3.534 1.789
Mn -3.774 -1.835 0.321
Tm -5.281 -3.335 6.650
Mn -6.964 -7.840 10.432
Mn -8.357 -7.494 8.290
Mn 0.000 0.000 0.000
Mn -1.781 -2.504 3.770
Mn -1.995 -0.076 3.705
Tm -3.981 -6.237 5.336
Mn -2.400 -3.701 5.803
Mn -0.405 -3.626 2.098
Tm -7.066 -7.737 5.598
Mn -4.179 -5.461 2.419
Mn -8.594 -9.617 9.518
Tm -8.366 -4.835 6.912
Mn -3.990 -3.578 3.958
Mn -10.432 -5.996 8.602
Tm -6.735 -4.773 3.883
Mn -9.524 -7.538 10.459
Mn -3.551 -1.421 5.301
```

# 2
Here is a relaxed SrLaI5 crystal from Materials Project. Energies are from PBE.

Cell and atoms, written as extended XYZ:
```
14
Lattice="10.991 3.206 0.000 -10.991 3.206 0.000 0.000 0.754 7.945" Properties=species:S:1:pos:R:3 pbc="T T T"
I 0.835 4.893 0.846
La 9.238 3.394 1.981
Sr -3.889 3.768 6.009
I -0.835 5.270 4.819
I 2.853 3.763 5.914
I -6.663 3.595 3.916
Sr 3.889 3.391 2.037
I -6.656 3.165 0.046
I 0.837 1.873 3.115
I 6.663 3.972 7.888
I -2.853 3.386 1.941
I -0.837 2.250 7.087
I 6.656 3.542 4.018
La -9.238 3.771 5.954
```

Summary:
ΔE to the lowest computed polymorph ... 64 meV per atom

# 3
Here is a relaxed MgH30C2S2O18 crystal from Materials Project. Energies are from PBE.

Cell and atoms, written as extended XYZ:
```
53
Lattice="7.645 -4.709 0.000 7.645 4.709 0.000 4.744 0.000 7.624" Properties=species:S:1:pos:R:3 pbc="T T T"
S 5.870 0.000 2.234
H 6.222 -2.445 0.585
H 12.789 -0.758 0.900
Mg 0.000 0.000 0.000
C 12.503 0.000 4.758
S 14.165 0.000 5.390
H 7.551 -0.606 3.778
O 11.025 -0.428 1.254
H 12.484 0.606 3.845
H 9.457 2.832 0.913
O 5.886 0.822 1.003
H 7.815 1.036 3.083
H 11.846 0.429 5.522
H 9.464 1.797 5.320
O 11.197 -3.034 7.451
H 8.990 -3.590 2.140
H 13.949 -2.666 6.682
H 13.813 2.445 7.039
H 15.455 0.220 2.724
H 12.220 -1.036 4.541
H 11.488 2.619 2.144
O 6.313 1.065 6.809
O 14.149 -0.822 6.621
H 11.185 -3.113 2.943
H 11.045 3.590 5.484
O 8.838 3.034 0.173
H 9.160 -0.493 6.010
O 9.426 -2.167 5.454
O 5.016 0.590 3.289
H 8.546 -2.619 5.480
H 8.850 3.113 4.681
O 10.345 -2.594 2.862
O 9.010 0.428 6.370
O 11.853 4.099 5.727
O 15.019 -0.590 4.335
O 14.513 1.412 5.666
O 9.690 2.594 4.762
H 10.874 0.493 1.614
H 10.571 -1.797 2.304
O 5.522 -1.412 1.958
H 10.267 2.290 3.101
O 13.722 -1.065 0.815
H 9.768 -2.290 4.523
C 7.531 0.000 2.866
H 8.189 -0.429 2.101
O 8.182 -4.099 1.897
H 7.246 0.758 6.724
H 6.086 2.666 0.941
H 4.580 -0.220 4.900
H 10.464 -0.493 0.441
H 10.578 -2.832 6.711
H 9.571 0.493 7.183
O 10.608 2.167 2.170
```

# 4
Here is a relaxed AlCuSnSe4 crystal from Materials Project. Energies are from PBE.

Cell and atoms, written as extended XYZ:
```
7
Lattice="-2.830 2.830 5.668 2.830 -2.830 5.668 2.830 2.830 -5.668" Properties=species:S:1:pos:R:3 pbc="T T T"
Se 1.543 -1.519 7.111
Cu 2.830 0.000 2.834
Se 1.311 1.287 -1.443
Se 1.287 4.349 1.443
Sn 0.000 0.000 5.668
Se 1.519 1.543 4.226
Al 0.000 2.830 2.834
```

# 5
Here is a relaxed Ta3SiNi2 crystal from Materials Project. Energies are from PBE.

Cell and atoms, written as extended XYZ:
```
24
Lattice="0.000 5.595 5.595 5.595 0.000 5.595 5.595 5.595 0.000" Properties=species:S:1:pos:R:3 pbc="T T T"
Ta 6.132 8.392 8.392
Ta 5.595 5.595 7.855
Ta 3.335 5.595 5.595
Ta 8.392 6.132 8.392
Ni 10.265 6.520 6.520
Ni 1.873 3.722 1.873
Ta 5.595 3.335 5.595
Ta 8.392 8.392 6.132
Ni 3.722 1.873 1.873
Ni 6.520 10.265 6.520
Si 4.196 4.196 1.399
Si 1.399 4.196 4.196
Ta 7.855 5.595 5.595
Ni 3.722 3.722 3.722
Ni 1.873 1.873 3.722
Ni 6.520 6.520 10.265
Si 1.399 1.399 1.399
Ta 8.392 8.392 10.652
Ni 10.265 10.265 10.265
Ta 5.595 5.595 3.335
Ta 5.595 7.855 5.595
Ta 8.392 10.652 8.392
Si 4.196 1.399 4.196
Ta 10.652 8.392 8.392
```

# 6
Here is a relaxed Ba2ZnCuSn2F14 crystal from Materials Project. Energies are from PBE.

Cell and atoms, written as extended XYZ:
```
40
Lattice="-3.236 3.327 2.887 -3.233 -1.360 -7.015 -7.104 -12.554 5.734" Properties=species:S:1:pos:R:3 pbc="T T T"
F -9.007 -7.536 5.194
F -7.864 -2.557 -2.540
Ba -2.930 -1.253 -0.925
Sn -6.242 0.441 -1.988
Cu -5.193 -4.588 4.193
F -8.368 -9.405 -2.795
F -6.724 -4.849 -3.369
F -4.248 -2.160 1.169
F -2.593 -0.142 1.585
Sn -7.357 -10.966 3.591
F -4.037 1.212 3.444
F -3.056 -0.946 -5.472
Ba -5.782 -7.926 1.324
F -3.146 -3.852 -1.050
Zn -6.868 -7.867 5.652
Ba -10.701 -9.428 2.622
F -4.446 0.452 -2.991
F -8.458 -11.518 1.967
F -9.570 -11.516 -1.858
F -10.931 -10.349 0.090
Sn -3.917 -4.563 0.981
F -4.589 -3.074 -3.636
F -9.165 -10.941 4.553
F -8.784 -5.232 -0.877
Ba -7.569 -2.534 0.310
F -7.930 -6.193 1.721
F -5.152 -5.830 2.633
F -5.660 -1.401 -1.423
F -7.102 -3.375 2.895
F -9.458 -8.082 0.438
F -6.828 -6.028 4.967
F -7.286 -9.972 -0.375
Zn -3.556 -1.517 2.912
F -6.556 -7.494 -1.406
Cu -1.669 1.647 1.474
F -5.142 1.100 -0.430
Sn -9.678 -6.050 0.739
F -5.772 -4.490 -0.228
F -10.433 -9.568 7.054
F -7.797 -9.049 3.049
```

# 7
Here is a relaxed ZrSnN2 crystal from Materials Project. Energies are from PBE.

Cell and atoms, written as extended XYZ:
```
8
Lattice="-3.188 2.386 -0.340 -0.519 -1.230 -3.767 -4.752 -5.977 2.606" Properties=species:S:1:pos:R:3 pbc="T T T"
N -6.909 -4.325 -0.816
Zr -2.798 -2.064 0.000
N -4.897 -1.506 0.106
Sn -5.055 -4.902 1.237
Sn -3.404 0.082 -2.738
N -3.562 -3.314 -1.607
Zr -5.661 -2.756 -1.500
N -1.550 -0.495 -0.685
```

# 8
Here is a relaxed PmTlTe2 crystal from Materials Project. Energies are from PBE.

Cell and atoms, written as extended XYZ:
```
4
Lattice="0.000 3.961 3.961 3.961 0.000 3.961 3.961 3.961 0.000" Properties=species:S:1:pos:R:3 pbc="T T T"
Pm 3.961 3.961 3.961
Te 1.980 1.980 1.980
Tl 0.000 0.000 0.000
Te 5.941 5.941 5.941
```

# 9
Here is a relaxed Mg3Mn crystal from Materials Project. Energies are from PBE.

Cell and atoms, written as extended XYZ:
```
4
Lattice="4.298 0.000 0.000 0.000 4.298 0.000 0.000 0.000 4.298" Properties=species:S:1:pos:R:3 pbc="T T T"
Mg 2.149 0.000 2.149
Mg 2.149 2.149 0.000
Mg 0.000 2.149 2.149
Mn 0.000 0.000 0.000
```

# 10
Here is a relaxed LiEuTcO3 crystal from Materials Project. Energies are from PBE.

Cell and atoms, written as extended XYZ:
```
6
Lattice="4.207 0.316 0.317 0.316 4.207 0.317 0.317 0.317 4.208" Properties=species:S:1:pos:R:3 pbc="T T T"
Eu 4.368 4.368 4.370
O 0.429 2.366 2.367
O 2.365 2.365 0.428
O 2.366 0.429 2.367
Li 1.153 1.153 1.154
Tc 2.547 2.547 2.547
```

Summary:
ΔE to the lowest computed polymorph ... 0 meV per atom

# 11
Here is a relaxed VCrC crystal from Materials Project. Energies are from PBE.

Cell and atoms, written as extended XYZ:
```
12
Lattice="4.439 0.000 0.000 0.000 4.937 0.000 0.000 0.000 5.670" Properties=species:S:1:pos:R:3 pbc="T T T"
C 0.000 0.000 3.561
C 2.220 2.469 2.108
V 3.401 0.867 2.047
V 3.258 3.336 3.623
Cr 3.332 3.319 0.734
Cr 1.107 1.619 0.734
V 1.039 4.070 2.047
C 0.000 2.469 5.008
C 2.220 0.000 0.661
Cr 3.327 0.850 4.936
V 1.181 1.601 3.623
Cr 1.113 4.087 4.936
```

# 12
Here is a relaxed Na2ZrInP3O12 crystal from Materials Project. Energies are from PBE.

Cell and atoms, written as extended XYZ:
```
114
Lattice="9.043 -0.035 -0.001 -4.552 7.814 0.001 -0.003 0.002 23.172" Properties=species:S:1:pos:R:3 pbc="T T T"
O 3.446 6.362 4.559
O 3.891 6.249 13.658
P -2.672 5.231 9.701
P 2.620 5.202 21.215
P 1.319 7.487 9.671
Na -0.019 5.188 3.795
O -3.491 6.389 16.078
O 5.629 4.045 3.200
O 0.616 6.716 1.780
O 2.838 7.722 9.528
Zr -0.091 5.184 18.865
P 1.338 2.290 17.395
Na 0.006 0.005 23.104
O 5.537 3.865 9.795
O 7.935 1.455 7.129
In 0.003 5.134 0.395
P 6.389 -0.001 17.423
O 2.667 2.795 3.267
O 2.840 2.780 9.789
O 5.214 1.097 9.785
P 5.830 0.292 1.904
Zr 4.422 7.764 3.417
Zr 4.441 2.567 11.140
O -1.130 6.689 22.579
O 7.372 0.163 2.064
Na 6.190 0.193 21.215
O 8.034 1.314 13.650
P -1.377 7.479 21.287
O 5.216 4.194 0.697
O -0.668 1.585 4.612
O 1.636 0.134 13.647
In 4.513 7.716 8.119
O 3.842 4.167 12.336
Zr -0.023 0.068 15.003
O -1.067 3.782 20.008
P 5.808 5.490 17.353
O 7.196 0.180 18.715
O -2.885 7.660 21.129
O -1.673 5.140 1.804
O -1.728 4.984 8.475
O 3.402 4.072 14.854
O 3.911 1.052 21.382
O -1.865 5.412 10.992
O 3.502 3.930 21.375
P 3.156 4.862 13.562
O 3.514 1.272 5.641
O 1.753 5.475 22.448
Na 2.888 4.938 17.354
Na 4.492 7.770 11.518
O 0.949 3.830 1.818
O 1.027 1.284 2.072
O 0.681 3.714 17.510
O 6.276 2.375 12.214
O 1.116 1.465 18.648
O 2.783 7.566 16.198
O -3.583 6.447 9.543
Na 4.520 2.585 7.656
O -0.731 3.499 22.511
P 3.178 5.474 5.809
Zr -0.042 5.265 7.279
P 2.642 0.003 5.767
O 1.005 6.482 17.520
O 0.627 3.523 10.862
O -0.798 6.658 13.390
O 5.138 6.105 18.586
Na 7.421 2.321 9.629
O 6.180 2.426 5.679
O 1.042 3.772 8.353
O 6.285 2.858 14.723
Zr 4.487 2.650 22.727
In 0.064 0.014 19.705
O 5.160 0.906 3.137
Na 1.660 2.808 5.768
P 3.197 0.277 13.532
O -0.779 1.461 21.114
O 0.703 1.614 16.145
O 2.857 2.525 17.252
O 1.617 5.331 5.924
In 4.577 2.594 4.257
Na 4.511 2.573 19.242
O 2.805 2.367 0.750
O 5.146 4.101 17.227
In 0.045 5.210 11.982
O 1.775 0.276 7.000
O 3.734 4.041 5.665
O -1.693 5.397 17.514
P 5.851 4.870 1.946
O 3.492 6.470 21.090
O -1.028 6.545 5.928
Na -2.872 5.424 13.493
O 1.096 6.662 10.925
O 0.635 1.519 9.504
In 4.532 2.519 15.843
P 1.860 2.614 1.976
O 3.465 1.165 12.283
Na -0.013 5.202 15.381
O -1.018 3.888 13.366
O -0.619 3.667 5.934
O 5.195 6.294 2.061
O 0.684 6.811 8.422
O 1.744 4.992 19.939
P -1.335 2.894 21.257
O 5.478 1.215 17.265
O -2.786 7.607 4.492
O 3.801 0.883 14.786
P 7.152 2.585 13.490
O 3.782 6.079 7.062
O -0.691 6.784 20.061
O 1.647 5.043 13.404
P 1.298 2.909 9.629
O 6.146 2.716 21.371
P 7.688 2.245 5.837
Na -1.641 7.553 1.907
O 5.574 1.155 0.628
```

Which raw total energy belongs to each record? In order, -8.214, -3.560, -5.171, -4.194, -9.167, -4.848, -7.933, -4.186, -3.310, -7.864, -9.627, -7.099 eV/atom.